! PBE-GGA Na6In8Si3S9O48, relaxed; values from VASP
! - DFT formation energy: -2.115 eV/atom
! - Calculated total energy: -6.007 eV/atom
&SYSTEM
  ibrav = 0, nat = 222, ntyp = 5
/
ATOMIC_SPECIES
Na 22.99 Na.upf
O 16.00 O.upf
In 114.82 In.upf
S 32.06 S.upf
Si 28.09 Si.upf
CELL_PARAMETERS angstrom
17.9839 0.0339 0.0788
-4.4812 7.7687 -0.0036
0.0995 0.0459 23.4220
ATOMIC_POSITIONS angstrom
Na 1.6339 2.4032 21.3345
Na 4.5699 2.6306 19.4362
O 3.8277 6.2734 13.8237
O 0.8162 6.8701 8.5718
In 13.5830 2.7444 11.3792
O 16.1883 0.2169 18.8497
O 9.6899 3.8484 17.6761
Na 4.6275 2.7310 7.8652
O 11.7182 7.5549 16.4096
Na 9.0801 5.0980 15.5920
O 10.8815 0.2897 7.2870
S 12.1682 5.5190 5.8897
S 10.8493 2.6354 1.9509
In 4.7234 2.7507 11.3901
O 10.7694 5.1572 13.5870
O 5.4206 6.6097 9.7324
O 1.1703 3.7390 8.5644
O 12.6380 1.4107 5.8615
Na 0.1517 5.0969 15.7064
O 0.8332 3.5593 10.9987
O 8.4000 6.9388 20.3482
O 9.7492 6.6883 1.8684
S -1.2893 2.2937 5.8398
In -0.0050 5.2478 7.4468
O -0.8611 6.4075 5.9212
O 9.6732 1.6703 16.4425
O 15.3532 2.8195 14.9721
O 15.1026 2.7823 21.6489
O -3.5291 6.5680 9.7106
O 11.6742 2.4505 0.7138
O 9.9796 1.4331 2.0562
O 5.3084 6.1819 18.8418
O 6.1112 2.7804 21.5926
O 5.5635 4.0784 3.2180
O 12.8832 6.3518 13.8859
Na 13.6823 2.6694 19.4811
O 8.2307 6.4935 5.9257
O 14.2633 6.1590 18.8516
S 2.7642 5.2575 21.5169
S 1.3734 2.9223 9.7828
O 12.8350 4.4024 12.5246
In 0.0090 5.2165 12.1096
O 3.5120 3.9567 21.6746
O -1.6220 5.4893 17.6650
In 13.6999 2.6575 23.0745
O 10.9632 5.5481 22.7911
Na 0.0734 5.3140 4.0009
O 8.4978 6.8409 13.5817
O 5.2522 4.2861 0.7932
O 0.9814 6.6247 17.7813
O 14.2789 0.8867 3.2239
O 5.6286 1.0682 0.7659
O -2.7023 7.5920 21.3944
S 1.8731 2.6202 1.9322
In 13.4314 2.5033 4.3925
O 1.3033 1.5575 18.9944
O 3.3375 6.3087 4.6279
In 0.0921 0.0136 3.5466
Na 17.9888 0.1273 23.3991
O 11.8486 7.7401 9.6961
O 17.0253 1.3953 13.8550
O 6.2348 2.5099 5.7692
O 2.7110 7.5089 16.4188
Na 7.5074 2.8795 17.4457
Na -2.7769 5.0467 5.9713
O -1.6448 5.5233 10.9985
O -0.6143 3.6188 5.9398
O 1.2314 6.6764 10.9904
O 11.7041 2.8186 3.1404
O 0.6872 1.5941 9.6763
O 7.2055 4.9081 8.4612
O 12.6881 6.4103 21.3953
In 4.5175 2.5551 4.3884
O 1.7013 5.2778 5.9981
S 12.2276 5.0081 13.7414
S 10.3858 7.4888 9.8530
O 7.9205 1.4618 7.0702
O 5.1276 1.0247 9.9106
O 8.1753 3.9455 13.7523
O -2.7195 7.4196 4.5845
S 10.3646 2.9545 9.7889
In 4.7141 2.6382 23.0282
O 9.9930 6.6497 17.7661
O 12.7846 6.1462 7.0827
O 10.0227 3.8709 1.8746
In 13.4947 2.6714 16.1151
O 12.5059 3.9809 21.7202
O 3.6423 1.3663 5.7591
O 10.7355 5.2693 6.0592
In 8.8407 5.1025 12.2125
Si 10.4638 2.3774 17.6697
O 3.7484 0.9438 14.8161
O 2.7269 2.7717 3.1195
O 12.4770 4.1777 14.9408
Na 2.8704 0.1952 9.7630
O -0.5914 6.9103 20.3106
S 1.9023 7.7705 17.6154
O 1.7221 0.1246 13.7083
Si 2.7154 0.0320 5.8769
O -0.7831 1.6692 4.5924
O 3.3468 4.1295 14.8754
O 14.1438 1.0393 9.9914
O 12.3356 6.3484 4.6666
Na 8.9835 0.0969 23.3869
O 9.8838 3.5962 11.0178
Si 7.2259 2.5948 13.7900
O 10.1790 3.7760 8.5784
O 5.1665 6.2447 2.1062
O 8.1540 1.2419 13.7611
Si 7.7393 2.9187 21.4928
S 10.9017 7.8154 17.6146
S 7.7105 2.3038 5.8792
O 3.7776 1.1468 21.6287
O -0.6195 6.7275 13.5513
In 8.9569 5.1336 0.4037
In 4.6055 7.7694 3.6264
S 3.2089 0.3025 13.6156
O 6.3342 2.3512 12.4612
In 4.6238 7.7417 8.2134
S 3.1609 4.9601 13.6736
O 8.5278 3.5428 22.7980
O 10.2851 1.5854 19.1019
O 12.8371 1.0482 14.8638
O 8.4774 1.4310 21.4517
In -0.0237 5.1217 0.3541
S 5.8624 0.2568 1.9880
O 2.8474 7.7437 9.6126
O -1.8237 4.9336 8.3264
O 6.2924 7.6020 21.4449
O 7.2214 0.1975 18.8406
S 12.2784 0.3711 13.6758
O 14.3369 4.1813 17.5354
O 14.2382 4.2744 0.8805
O -3.3979 6.2842 16.3257
O 0.8072 3.8625 17.5829
In 8.8788 5.2589 7.4458
O 3.4449 1.0896 12.3703
O 12.4982 1.1876 12.4275
O 5.3452 4.1900 17.5504
O 14.1596 6.2587 2.1485
S 14.8096 4.9192 2.0789
Si -2.6278 5.1693 9.7398
O 2.6811 2.4367 0.6846
O 5.2640 0.8805 3.1818
O 3.7199 6.1213 7.0611
O 1.9790 5.5274 22.7556
O 14.4161 3.8700 9.9218
O 11.8490 2.6785 9.9078
In 4.5087 2.6468 15.9804
S 3.1701 5.4868 5.8618
S 14.8613 0.2647 2.0157
O -0.4762 3.4863 22.8337
O 5.5604 6.3426 16.3926
O 12.0865 2.5315 17.5583
S 5.8786 5.5816 17.6077
O 8.4091 3.6046 5.9751
O 10.9082 5.0647 20.3738
In 9.0489 0.1804 15.2287
O 3.6927 4.3401 12.4424
Na 8.9318 0.0444 11.8172
Na 11.8392 0.1609 9.7945
O -0.5113 1.4163 21.4093
Na 10.6241 2.4189 21.3777
O 0.7495 1.6771 16.2780
S 11.7590 5.2808 21.5621
In 9.0736 5.1710 19.1330
In 0.0758 0.1697 19.8247
O 7.9616 3.7911 20.1389
In 0.1068 0.1028 15.2604
O 7.2876 5.6383 11.0446
O 16.8925 1.4949 7.1107
O 6.3621 2.8167 15.1792
O 7.2972 5.0634 1.9172
O 5.3398 3.9128 9.8411
O 7.3718 5.4968 17.6921
O 14.5891 1.2974 17.4776
O 15.3777 2.4520 12.5426
O 9.6925 1.6248 9.6873
S 7.7746 7.5238 21.5393
O -0.9170 3.7977 13.5899
O 3.7031 6.3853 21.3656
Si -1.2519 2.9016 21.4988
O 10.1963 6.6617 11.0516
In -4.3870 7.7414 8.2231
O 1.6660 5.1293 13.5401
O 14.5545 4.1147 3.3117
Na 13.4887 2.6033 7.9163
O 14.6249 1.0870 0.8067
O 1.8617 0.2669 7.2496
O 12.7711 1.1628 21.6703
O 1.0384 3.8542 1.8634
O 9.8200 6.8902 8.6209
O 3.8546 4.1737 5.7177
S 1.4048 7.5088 9.7825
In 9.0690 0.1541 19.8990
O 15.2217 2.5895 5.7908
O 8.2110 1.6759 4.6212
O 3.1165 2.4749 17.4500
O 2.8349 2.6646 9.9152
O 5.6160 1.2747 17.5078
O 16.3480 0.1385 2.1546
S 14.8830 5.5637 17.6405
Na 13.5366 7.7157 11.7784
O 12.9334 4.2304 5.7325
O 0.7454 6.6737 1.8412
In 0.0497 5.0583 19.0548
Si 1.4792 2.3612 17.5594
O 8.0694 6.7736 22.7876
O -0.9337 6.7595 22.7521
Si 7.2370 7.8001 5.9085
S -1.2178 7.5000 21.4880
O 7.3452 0.1243 2.1291
Si 6.3230 5.2163 9.7847
O 0.9927 1.4140 2.0279
Na 8.9033 5.2998 4.0904
O 6.3531 7.5590 4.5522
O -1.6940 5.0395 1.8965
O 1.9134 5.0560 20.3344
S 16.1932 2.6280 13.7665
O 10.8176 0.1822 13.7840
O -1.0306 3.8397 20.2107
S 5.8152 4.9065 2.0152